Record 1
VASP calculation (PBE) on a relaxed Na42Mg16Nb8Si21S15O144 crystal.

Values from the calculation:
E_tot: -6.46 eV per atom
Space-group type: P1

The structure in CIF format:
```
data_Na42Mg16Nb8Si21S15O144
_cell_length_a 18.1985
_cell_length_b 9.0774
_cell_length_c 22.3563
_cell_angle_alpha 89.92
_cell_angle_beta 90.26
_cell_angle_gamma 120.03
_space_group_name_H-M_alt 'P 1'
_space_group_IT_number 1
loop_
_space_group_symop_operation_xyz
'x,y,z'
loop_
_atom_site_label
_atom_site_fract_x
_atom_site_fract_y
_atom_site_fract_z
Na1 0.6668 0.0186 0.4200
Na2 0.4739 0.6672 0.9161
Na3 0.6584 0.3463 0.5880
Na4 0.3228 0.6323 0.7461
Na5 0.8230 0.6184 0.7440
Na6 0.8238 0.0115 0.2487
Na7 0.8514 0.6807 0.4209
Na8 0.3213 0.9526 0.5801
Na9 0.8394 0.3441 0.8277
Na10 0.4904 0.3497 0.7496
Na11 0.9940 0.0060 0.9921
Na12 0.0117 0.3333 0.0719
Na13 0.8327 0.9712 0.5738
Na14 0.8280 0.7055 0.0764
Na15 0.9750 0.2817 0.4192
Na16 0.1707 0.6694 0.1627
Na17 0.8332 0.3326 0.3303
Na18 0.9942 0.0037 0.4967
Na19 0.6556 0.9535 0.0848
Na20 0.4732 0.2924 0.4112
Na21 0.1578 0.9699 0.0868
Na22 0.5097 0.6862 0.5727
Na23 0.1726 0.0455 0.4190
Na24 0.6622 0.6639 0.1646
Na25 0.3381 0.3320 0.3312
Na26 0.1631 0.6733 0.6593
Na27 0.1577 0.3500 0.5821
Na28 0.3217 0.0275 0.2466
Na29 0.4918 0.9797 0.4940
Na30 0.8572 0.0399 0.9225
Na31 0.3305 0.6888 0.0714
Na32 0.9907 0.6333 0.2511
Na33 0.3325 0.3325 0.8274
Na34 0.9754 0.6587 0.9077
Na35 0.6713 0.6714 0.6610
Na36 0.1671 0.3139 0.9172
Na37 0.3555 0.6722 0.4262
Na38 0.3508 0.0214 0.9176
Na39 0.6701 0.3003 0.9089
Na40 0.4892 0.9779 0.9942
Na41 0.5060 0.3465 0.0841
Na42 0.0156 0.6757 0.5847
Si1 0.8144 0.6656 0.9222
Si2 0.3490 0.0054 0.7558
Si3 0.5180 0.6678 0.4203
Si4 0.9997 0.2990 0.2549
Si5 0.8180 0.9690 0.4182
Si6 0.6482 0.2779 0.7533
Si7 0.1929 0.0463 0.5801
Si8 0.8330 0.0421 0.0846
Si9 0.8264 0.6178 0.5816
Si10 0.5010 0.2965 0.2550
Si11 0.3158 0.9633 0.4213
Si12 0.9996 0.7065 0.7551
Si13 0.4988 0.6999 0.7550
Si14 0.3262 0.0351 0.0816
Si15 0.9791 0.3344 0.5833
Si16 0.1485 0.0168 0.2536
Si17 0.8480 0.6927 0.2544
Si18 0.3174 0.6667 0.9179
Si19 0.4809 0.6243 0.0831
Si20 0.0197 0.3698 0.9198
Si21 0.3345 0.6242 0.5848
O1 0.0663 0.6503 0.0783
O2 0.7667 0.6929 0.9776
O3 0.5738 0.6429 0.3617
O4 0.7452 0.3627 0.4208
O5 0.5152 0.8423 0.4088
O6 0.3405 0.5368 0.2413
O7 0.5924 0.2039 0.4092
O8 0.4842 0.7858 0.8118
O9 0.5134 0.1940 0.1931
O10 0.4259 0.4958 0.4174
O11 0.4443 0.3577 0.6377
O12 0.6534 0.8435 0.2535
O13 0.0759 0.4569 0.9793
O14 0.5763 0.6495 0.0767
O15 0.6010 0.1859 0.8134
O16 0.0990 0.1697 0.0891
O17 0.7222 0.1410 0.5283
O18 0.1000 0.0154 0.3125
O19 0.5746 0.4635 0.9708
O20 0.1028 0.1900 0.8060
O21 0.2396 0.3545 0.1367
O22 0.0926 0.9815 0.9103
O23 0.2464 0.8394 0.0779
O24 0.4172 0.0133 0.0924
O25 0.7309 0.1492 0.2458
O26 0.9898 0.1607 0.5977
O27 0.7406 0.3565 0.1357
O28 0.9197 0.3258 0.2436
O29 0.4375 0.3601 0.9187
O30 0.5878 0.6872 0.7593
O31 0.0840 0.9673 0.1921
O32 0.0735 0.6825 0.4691
O33 0.7521 0.8570 0.3587
O34 0.4046 0.7863 0.3044
O35 0.6714 0.4745 0.0777
O36 0.9268 0.5526 0.0294
O37 0.7455 0.6515 0.5777
O38 0.7399 0.1244 0.6366
O39 0.8194 0.1269 0.1439
O40 0.7431 0.3182 0.7456
O41 0.3436 0.1721 0.7434
O42 0.9174 0.5222 0.7474
O43 0.3189 0.4866 0.9167
O44 0.0147 0.1870 0.9097
O45 0.8403 0.5143 0.2384
O46 0.3604 0.5577 0.5253
O47 0.4113 0.8377 0.9127
O48 0.3252 0.5213 0.6456
O49 0.5686 0.4837 0.5774
O50 0.5994 0.0283 0.5892
O51 0.4290 0.3028 0.5293
O52 0.7738 0.8493 0.4753
O53 0.6545 0.4804 0.7576
O54 0.5651 0.4849 0.8622
O55 0.2219 0.1608 0.5196
O56 0.0154 0.2041 0.1938
O57 0.0642 0.6450 0.3605
O58 0.1729 0.4881 0.3629
O59 0.1540 0.8278 0.2572
O60 0.9365 0.5135 0.4167
O61 0.9240 0.0213 0.0903
O62 0.1525 0.4640 0.7545
O63 0.8160 0.4878 0.9214
O64 0.2450 0.3712 0.4171
O65 0.5930 0.9785 0.1961
O66 0.4254 0.8319 0.5907
O67 0.8184 0.1505 0.4157
O68 0.2541 0.6543 0.5805
O69 0.2753 0.6986 0.9764
O70 0.0744 0.5045 0.8624
O71 0.5903 0.4838 0.2567
O72 0.2515 0.6457 0.8596
O73 0.2455 0.1286 0.9221
O74 0.1522 0.8545 0.9723
O75 0.5998 0.1682 0.0897
O76 0.2593 0.8198 0.7569
O77 0.8543 0.1594 0.0251
O78 0.9271 0.3565 0.9167
O79 0.3537 0.1555 0.0226
O80 0.1725 0.4786 0.0804
O81 0.9113 0.9843 0.4125
O82 0.7438 0.1257 0.9215
O83 0.4086 0.9809 0.4132
O84 0.0754 0.4925 0.5758
O85 0.2431 0.1677 0.2446
O86 0.1681 0.8483 0.5762
O87 0.2669 0.8343 0.4744
O88 0.8104 0.5072 0.6413
O89 0.8509 0.5493 0.5218
O90 0.0889 0.6962 0.7589
O91 0.9152 0.8166 0.5916
O92 0.5843 0.2019 0.6926
O93 0.4915 0.1754 0.5885
O94 0.7666 0.8363 0.7559
O95 0.4966 0.8264 0.0967
O96 0.7503 0.6474 0.8608
O97 0.9088 0.7757 0.3111
O98 0.7592 0.7006 0.2551
O99 0.0930 0.0270 0.5912
O100 0.5162 0.2081 0.9136
O101 0.0929 0.2087 0.6972
O102 0.1525 0.4544 0.4705
O103 0.9899 0.8058 0.0879
O104 0.4198 0.5131 0.7438
O105 0.3998 0.9661 0.6964
O106 0.4086 0.0373 0.8128
O107 0.1805 0.8730 0.8649
O108 0.2514 0.8526 0.3588
O109 0.0156 0.8235 0.4122
O110 0.6803 0.4886 0.3639
O111 0.9027 0.0224 0.8057
O112 0.9885 0.8008 0.8118
O113 0.0908 0.2045 0.4103
O114 0.6725 0.8660 0.5802
O115 0.6521 0.8529 0.9719
O116 0.4897 0.1740 0.3096
O117 0.3956 0.8207 0.1964
O118 0.9325 0.3650 0.6381
O119 0.2692 0.7014 0.2535
O120 0.9071 0.8340 0.9143
O121 0.7228 0.2992 0.0282
O122 0.6522 0.4501 0.4713
O123 0.0118 0.8299 0.6943
O124 0.2310 0.3162 0.7477
O125 0.2518 0.1325 0.6368
O126 0.3186 0.1445 0.4179
O127 0.6033 0.0169 0.3050
O128 0.5161 0.8277 0.6943
O129 0.2225 0.3035 0.0287
O130 0.9000 0.8340 0.1951
O131 0.7528 0.8475 0.0816
O132 0.5771 0.6962 0.4782
O133 0.4182 0.3124 0.2462
O134 0.5906 0.9790 0.9119
O135 0.9229 0.2766 0.5215
O136 0.4335 0.5049 0.1387
O137 0.3133 0.1155 0.1414
O138 0.4247 0.5708 0.0217
O139 0.0878 0.4891 0.2568
O140 0.8384 0.1446 0.7432
O141 0.8917 0.9678 0.6979
O142 0.6763 0.8675 0.8646
O143 0.9828 0.1792 0.3107
O144 0.9402 0.5280 0.1373
Nb1 0.1636 0.6586 0.8117
Nb2 0.4970 0.0053 0.1458
Nb3 0.0028 0.9886 0.6413
Nb4 0.1678 0.6779 0.3115
Nb5 0.9953 0.0042 0.1553
Nb6 0.6639 0.6665 0.3140
Nb7 0.4940 0.9857 0.6553
Nb8 0.6702 0.6604 0.8094
Mg1 0.8337 0.3300 0.1864
Mg2 0.8386 0.3293 0.4878
Mg3 0.4959 0.9970 0.3542
Mg4 0.6719 0.6774 0.5136
Mg5 0.9954 0.9949 0.8529
Mg6 0.3299 0.3271 0.6839
Mg7 0.4942 0.9914 0.8460
Mg8 0.9944 0.9959 0.3466
Mg9 0.8410 0.3335 0.9775
Mg10 0.1710 0.6712 0.5243
Mg11 0.1724 0.6674 0.0119
Mg12 0.6704 0.6798 0.0202
Mg13 0.3330 0.3374 0.4820
Mg14 0.8401 0.3527 0.6851
Mg15 0.3389 0.3493 0.9857
Mg16 0.3399 0.3281 0.1856
S1 0.3544 0.7049 0.2507
S2 0.9798 0.6290 0.0833
S3 0.6673 0.3753 0.4175
S4 0.8549 0.0042 0.7510
S5 0.4816 0.3323 0.5833
S6 0.1865 0.3303 0.0844
S7 0.1674 0.9592 0.9178
S8 0.6655 0.9565 0.9177
S9 0.6863 0.0423 0.5843
S10 0.1443 0.2872 0.7521
S11 0.1652 0.3773 0.4168
S12 0.6880 0.3310 0.0829
S13 0.0216 0.6678 0.4171
S14 0.6451 0.0022 0.2516
S15 0.5227 0.3768 0.9179
```

***

Record 2
VASP calculation (PBE) on a relaxed YAgS2 crystal.

Values from the calculation:
E_tot: -5.70 eV per atom
Space-group type: R3m

The structure in CIF format:
```
data_YAgS2
_cell_length_a 7.3688
_cell_length_b 7.3688
_cell_length_c 7.3688
_cell_angle_alpha 31.45
_cell_angle_beta 31.45
_cell_angle_gamma 31.45
_space_group_name_H-M_alt 'P 1'
_space_group_IT_number 1
loop_
_space_group_symop_operation_xyz
'x,y,z'
loop_
_atom_site_label
_atom_site_fract_x
_atom_site_fract_y
_atom_site_fract_z
S1 0.7445 0.7445 0.7445
S2 0.2662 0.2662 0.2662
Ag1 0.1488 0.1488 0.1488
Y1 0.9996 0.9996 0.9996
```

***

Record 3
VASP calculation (PBE) on a relaxed Ho4Sb3 crystal.

Values from the calculation:
E_tot: -5.35 eV per atom
Space-group type: I-43d

The structure in CIF format:
```
data_Ho4Sb3
_cell_length_a 7.9324
_cell_length_b 7.9324
_cell_length_c 7.9324
_cell_angle_alpha 109.47
_cell_angle_beta 109.47
_cell_angle_gamma 109.47
_space_group_name_H-M_alt 'P 1'
_space_group_IT_number 1
loop_
_space_group_symop_operation_xyz
'x,y,z'
loop_
_atom_site_label
_atom_site_fract_x
_atom_site_fract_y
_atom_site_fract_z
Ho1 0.6452 0.5000 0.0000
Ho2 0.5000 0.0000 0.1452
Ho3 0.0000 0.6452 0.5000
Ho4 0.8548 0.8548 0.8548
Ho5 0.5000 0.0000 0.6452
Ho6 0.0000 0.1452 0.5000
Ho7 0.1452 0.5000 0.0000
Ho8 0.3548 0.3548 0.3548
Sb1 0.8750 0.2500 0.1250
Sb2 0.3750 0.6250 0.7500
Sb3 0.1250 0.8750 0.2500
Sb4 0.6250 0.7500 0.3750
Sb5 0.2500 0.1250 0.8750
Sb6 0.7500 0.3750 0.6250
```

***

Record 4
VASP calculation (PBE) on a relaxed MgFe4S8 crystal.

Values from the calculation:
ΔE to the lowest computed polymorph: 0.0 meV/atom
E_tot: -5.72 eV per atom
Space-group type: R-3m

The structure in CIF format:
```
data_MgFe4S8
_cell_length_a 7.1216
_cell_length_b 7.1216
_cell_length_c 7.1216
_cell_angle_alpha 55.17
_cell_angle_beta 55.17
_cell_angle_gamma 55.17
_space_group_name_H-M_alt 'P 1'
_space_group_IT_number 1
loop_
_space_group_symop_operation_xyz
'x,y,z'
loop_
_atom_site_label
_atom_site_fract_x
_atom_site_fract_y
_atom_site_fract_z
S1 0.2640 0.7636 0.7636
S2 0.7636 0.2640 0.7636
S3 0.2364 0.2364 0.7360
S4 0.7636 0.7636 0.2640
S5 0.7360 0.2364 0.2364
S6 0.7375 0.7375 0.7375
S7 0.2364 0.7360 0.2364
S8 0.2625 0.2625 0.2625
Fe1 0.5000 0.5000 0.0000
Fe2 0.0000 0.5000 0.5000
Fe3 0.0000 0.0000 0.0000
Fe4 0.5000 0.0000 0.5000
Mg1 0.5000 0.5000 0.5000
```

***

Record 5
VASP calculation (PBE) on a relaxed Bi6P4PbO20 crystal.

Values from the calculation:
E_tot: -6.58 eV per atom
Space-group type: P-1

The structure in CIF format:
```
data_Bi6P4PbO20
_cell_length_a 7.0532
_cell_length_b 7.7398
_cell_length_c 9.2984
_cell_angle_alpha 107.12
_cell_angle_beta 93.19
_cell_angle_gamma 111.96
_space_group_name_H-M_alt 'P 1'
_space_group_IT_number 1
loop_
_space_group_symop_operation_xyz
'x,y,z'
loop_
_atom_site_label
_atom_site_fract_x
_atom_site_fract_y
_atom_site_fract_z
O1 0.1444 0.4996 0.8311
O2 0.5542 0.0279 0.3629
O3 0.9517 0.2098 0.5835
O4 0.8766 0.1742 0.8423
O5 0.6764 0.0939 0.0974
O6 0.2140 0.1825 0.7587
O7 0.4458 0.9721 0.6371
O8 0.6434 0.6705 0.9146
O9 0.7860 0.8175 0.2413
O10 0.1345 0.2676 0.2832
O11 0.8655 0.7324 0.7168
O12 0.3566 0.3295 0.0854
O13 0.0483 0.7902 0.4165
O14 0.5220 0.3801 0.3559
O15 0.6221 0.3790 0.6871
O16 0.4780 0.6199 0.6441
O17 0.3236 0.9061 0.9026
O18 0.3779 0.6210 0.3129
O19 0.8556 0.5004 0.1689
O20 0.1234 0.8258 0.1577
P1 0.9531 0.7301 0.2440
P2 0.3496 0.4008 0.2585
P3 0.0469 0.2699 0.7560
P4 0.6504 0.5992 0.7415
Bi1 0.3315 0.1261 0.5098
Bi2 0.4390 0.7927 0.0882
Bi3 0.6685 0.8739 0.4902
Bi4 0.8064 0.3043 0.3254
Bi5 0.1936 0.6957 0.6746
Bi6 0.5610 0.2073 0.9118
Pb1 0.0000 0.0000 0.0000
```

***

Record 6
VASP calculation (PBE) on a relaxed ScO2 crystal.

Values from the calculation:
E_tot: -7.99 eV per atom
Space-group type: Pnma

The structure in CIF format:
```
data_ScO2
_cell_length_a 3.2468
_cell_length_b 5.2823
_cell_length_c 10.2943
_cell_angle_alpha 90.00
_cell_angle_beta 90.00
_cell_angle_gamma 90.00
_space_group_name_H-M_alt 'P 1'
_space_group_IT_number 1
loop_
_space_group_symop_operation_xyz
'x,y,z'
loop_
_atom_site_label
_atom_site_fract_x
_atom_site_fract_y
_atom_site_fract_z
O1 0.7500 0.8825 0.9530
O2 0.2500 0.3825 0.5470
O3 0.7500 0.6175 0.4530
O4 0.2500 0.8095 0.7155
O5 0.2500 0.1175 0.0470
O6 0.2500 0.6905 0.2155
O7 0.7500 0.1905 0.2845
O8 0.7500 0.3095 0.7845
Sc1 0.2500 0.1053 0.8401
Sc2 0.2500 0.3947 0.3401
Sc3 0.7500 0.8947 0.1599
Sc4 0.7500 0.6053 0.6599
```

***

Record 7
VASP calculation (PBE) on a relaxed Pr9Al5S21 crystal.

Values from the calculation:
E_tot: -5.97 eV per atom
Space-group type: R3

The structure in CIF format:
```
data_Pr9Al5S21
_cell_length_a 11.7740
_cell_length_b 11.7740
_cell_length_c 11.7740
_cell_angle_alpha 96.07
_cell_angle_beta 96.07
_cell_angle_gamma 96.07
_space_group_name_H-M_alt 'P 1'
_space_group_IT_number 1
loop_
_space_group_symop_operation_xyz
'x,y,z'
loop_
_atom_site_label
_atom_site_fract_x
_atom_site_fract_y
_atom_site_fract_z
S1 0.1108 0.6971 0.2108
S2 0.4781 0.6203 0.7127
S3 0.6203 0.7127 0.4781
S4 0.3983 0.8184 0.2997
S5 0.9386 0.0272 0.7902
S6 0.6971 0.2108 0.1108
S7 0.9950 0.2292 0.0871
S8 0.8184 0.2997 0.3983
S9 0.4816 0.9672 0.0688
S10 0.6331 0.7306 0.1558
S11 0.1771 0.8426 0.5126
S12 0.0223 0.5458 0.4476
S13 0.2997 0.3983 0.8184
S14 0.3428 0.6767 0.0128
S15 0.3653 0.1452 0.2809
S16 0.7306 0.1558 0.6331
S17 0.5458 0.4476 0.0223
S18 0.7470 0.6621 0.8824
S19 0.4476 0.0223 0.5458
S20 0.2809 0.3653 0.1452
S21 0.8426 0.5126 0.1771
S22 0.1452 0.2809 0.3653
S23 0.3100 0.5471 0.3987
S24 0.5126 0.1771 0.8426
S25 0.5471 0.3987 0.3100
S26 0.7902 0.9386 0.0272
S27 0.6767 0.0128 0.3428
S28 0.2108 0.1108 0.6971
S29 0.0128 0.3428 0.6767
S30 0.0272 0.7902 0.9386
S31 0.0871 0.9950 0.2292
S32 0.8790 0.7797 0.3601
S33 0.0688 0.4816 0.9672
S34 0.3987 0.3100 0.5471
S35 0.7797 0.3601 0.8790
S36 0.8824 0.7470 0.6621
S37 0.1558 0.6331 0.7306
S38 0.9672 0.0688 0.4816
S39 0.3601 0.8790 0.7797
S40 0.2292 0.0871 0.9950
S41 0.7127 0.4781 0.6203
S42 0.6621 0.8824 0.7470
Al1 0.3883 0.0544 0.7214
Al2 0.8513 0.8513 0.8513
Al3 0.5544 0.8877 0.2221
Al4 0.3513 0.3513 0.3513
Al5 0.1658 0.1658 0.1658
Al6 0.6657 0.6657 0.6657
Al7 0.2221 0.5544 0.8877
Al8 0.8877 0.2221 0.5544
Al9 0.7214 0.3883 0.0544
Al10 0.0544 0.7214 0.3883
Pr1 0.7817 0.9250 0.5473
Pr2 0.1084 0.2495 0.8779
Pr3 0.5473 0.7817 0.9250
Pr4 0.4551 0.2209 0.0778
Pr5 0.8779 0.1084 0.2495
Pr6 0.2495 0.8779 0.1084
Pr7 0.7788 0.5491 0.4068
Pr8 0.0778 0.4551 0.2209
Pr9 0.1165 0.8836 0.7439
Pr10 0.2209 0.0778 0.4551
Pr11 0.4445 0.5855 0.2128
Pr12 0.2128 0.4445 0.5855
Pr13 0.9250 0.5473 0.7817
Pr14 0.5491 0.4068 0.7788
Pr15 0.5855 0.2128 0.4445
Pr16 0.7439 0.1165 0.8836
Pr17 0.8836 0.7439 0.1165
Pr18 0.4068 0.7788 0.5491
```

***

Record 8
VASP calculation (PBE) on a relaxed CsTmS2 crystal.

Values from the calculation:
E_tot: -5.22 eV per atom
Space-group type: R-3m

The structure in CIF format:
```
data_CsTmS2
_cell_length_a 4.0548
_cell_length_b 4.0548
_cell_length_c 8.3751
_cell_angle_alpha 75.99
_cell_angle_beta 75.99
_cell_angle_gamma 60.00
_space_group_name_H-M_alt 'P 1'
_space_group_IT_number 1
loop_
_space_group_symop_operation_xyz
'x,y,z'
loop_
_atom_site_label
_atom_site_fract_x
_atom_site_fract_y
_atom_site_fract_z
Cs1 0.0000 0.0000 0.0000
S1 0.2264 0.2264 0.3207
S2 0.7736 0.7736 0.6793
Tm1 0.5000 0.5000 0.5000
```

***

In the order shown, the computed volume values come out to 3197; 97; 384; 227; 442; 177; 1603; 114 Å³/cell.
In the order shown, the computed formation energy values come out to -636.66; -6.23; -7.34; -9.80; -69.96; -9.11; -71.03; -8.25 eV/f.u..